Record 1
# Li3Mn2FeB3O9

A relaxed structure of Li3Mn2FeB3O9 (PBE+U, the Materials Project).

Cell lengths 8.2651, 3.1737, 14.3087 Å; angles 90.00, 90.12, 90.00 degrees
Closest atoms and distances in Å follow each position.
Space group Pm (No. 6)
Unique sites:
1 Li 0.0000 0.0000 0.0000 [1 per cell]  4 O 1.97-2.01
2 Li 0.0261 0.0000 0.7064 [1 per cell]  4 O 1.97-2.01
3 Li 0.0741 0.0000 0.3415 [1 per cell]  4 O 1.97-2.02
4 Li 0.5014 0.0000 0.4998 [1 per cell]  4 O 1.99-2.02
5 Li 0.5277 0.0000 0.2080 [1 per cell]  4 O 1.98-2.02
6 Li 0.5741 0.0000 0.8400 [1 per cell]  4 O 1.98-2.01
7 Mn 0.1927 0.5000 0.1631 [1 per cell]  5 O 2.10-2.19
8 Mn 0.2319 0.5000 0.8547 [1 per cell]  5 O 2.10-2.20
9 Mn 0.6760 0.5000 0.0287 [1 per cell]  5 O 2.10-2.19
10 Mn 0.6935 0.5000 0.6631 [1 per cell]  5 O 2.11-2.19
11 Fe 0.1793 0.5000 0.5286 [1 per cell]  5 O 2.04-2.18
12 Fe 0.7303 0.5000 0.3535 [1 per cell]  5 O 2.04-2.18
13 B 0.3659 0.0000 0.6814 [1 per cell]  3 O 1.39
14 B 0.3671 0.0000 0.0160 [1 per cell]  3 O 1.39
15 B 0.3666 0.5000 0.3502 [1 per cell]  3 O 1.39-1.40
16 B 0.8660 0.0000 0.1837 [1 per cell]  3 O 1.39
17 B 0.8669 0.5000 0.8491 [1 per cell]  3 O 1.39-1.40
18 B 0.8686 0.0000 0.5147 [1 per cell]  3 O 1.39-1.40
19 O 0.0025 0.5000 0.7912 [1 per cell]  1 B 1.39
20 O 0.0165 0.0000 0.1405 [1 per cell]  1 B 1.39
21 O 0.0227 0.0000 0.4757 [1 per cell]  1 B 1.39
22 O 0.2139 0.5000 0.3093 [1 per cell]  1 B 1.39
23 O 0.2260 0.0000 0.6272 [1 per cell]  1 B 1.39
24 O 0.2284 0.0000 0.9607 [1 per cell]  1 B 1.39
25 O 0.3537 0.0000 0.1131 [1 per cell]  1 B 1.39
26 O 0.3552 0.0000 0.7784 [1 per cell]  1 B 1.39
27 O 0.3813 0.5000 0.4472 [1 per cell]  1 B 1.39
28 O 0.5055 0.5000 0.2947 [1 per cell]  1 B 1.40
29 O 0.5167 0.0000 0.6389 [1 per cell]  1 B 1.39
30 O 0.5190 0.0000 0.9743 [1 per cell]  1 B 1.39
31 O 0.7122 0.5000 0.8101 [1 per cell]  1 B 1.39
32 O 0.7265 0.0000 0.1295 [1 per cell]  1 B 1.39
33 O 0.7314 0.0000 0.4578 [1 per cell]  1 B 1.40
34 O 0.8519 0.0000 0.6117 [1 per cell]  1 B 1.40
35 O 0.8548 0.0000 0.2807 [1 per cell]  1 B 1.39
36 O 0.8860 0.5000 0.9460 [1 per cell]  1 B 1.40

Summary:
Formation enthalpy at 0 K in eV/f.u.: -44.1
E (MP2020) in eV/atom: -7.843

Record 2
# VPO5

A relaxed structure of VPO5 (PBE+U, the Materials Project).

Cell lengths 7.3485, 7.0627, 7.3890 Å; angles 90.00, 115.27, 90.00 degrees
Closest atoms and distances in Å follow each position.
Space group Cc (No. 9)
Unique sites:
1 V 0.0000 0.2308 0.0000 [4 per cell]  1 O 1.61
2 P 0.2904 0.1213 0.7889 [4 per cell]  4 O 1.54-1.56
3 O 0.1282 0.0015 0.6245 [4 per cell]  1 P 1.54
4 O 0.1935 0.2509 0.8917 [4 per cell]  1 P 1.54
5 O 0.3080 0.3494 0.3095 [4 per cell]  1 V 1.61
6 O 0.3997 0.2517 0.7009 [4 per cell]  1 P 1.54
7 O 0.4486 0.0078 0.4515 [4 per cell]  1 P 1.56

Summary:
Formation enthalpy at 0 K in eV/f.u.: -17.5
E (MP2020) in eV/atom: -8.103

Record 3
# Li7Mn5O12

A relaxed structure of Li7Mn5O12 (PBE+U, the Materials Project).

Cell lengths 7.7487, 7.7574, 8.3480 Å; angles 74.75, 74.51, 67.75 degrees
Closest atoms and distances in Å follow each position.
Space group P-1 (No. 2)
Unique sites:
1 Li 0.0000 0.0000 0.0000 [1 per cell]  6 O 2.13-2.37
2 Li 0.0823 0.5933 0.0745 [2 per cell]  6 O 2.07-2.27
3 Li 0.1405 0.1788 0.1685 [2 per cell]  5 O 2.00-2.22
4 Li 0.2489 0.7493 0.2509 [2 per cell]  6 O 2.08-2.17
5 Li 0.2529 0.7502 0.7482 [2 per cell]  6 O 2.04-2.17
6 Li 0.3524 0.3154 0.3321 [2 per cell]  5 O 2.11-2.26
7 Li 0.4108 0.9133 0.4180 [2 per cell]  6 O 2.07-2.24
8 Li 0.5000 0.5000 0.5000 [1 per cell]  4 O 2.09-2.21
9 Mn 0.0000 0.0000 0.5000 [1 per cell]  6 O 1.94-1.97
10 Mn 0.0806 0.5888 0.5851 [2 per cell]  4 O 1.93-2.00
11 Mn 0.1756 0.1580 0.6651 [2 per cell]  4 O 1.93-2.07
12 Mn 0.3257 0.3412 0.8371 [2 per cell]  6 O 1.91-1.99
13 Mn 0.4139 0.9170 0.9158 [2 per cell]  4 O 1.93-1.99
14 Mn 0.5000 0.5000 0.0000 [1 per cell]  6 O 1.94-1.97
15 O 0.0098 0.0082 0.7310 [2 per cell]  2 Mn 1.93-1.97, 1 Li 2.07
16 O 0.0562 0.5955 0.3510 [2 per cell]  3 Mn 1.97-2.07, 1 Li 2.12
17 O 0.1045 0.5613 0.8200 [2 per cell]  2 Mn 1.91-1.97, 2 Li 2.07-2.09
18 O 0.1657 0.1513 0.4098 [2 per cell]  2 Mn 1.94-2.17, 3 Li 2.02-2.14
19 O 0.1689 0.1793 0.9236 [2 per cell]  1 Mn 1.95, 3 Li 2.00-2.13
20 O 0.2203 0.7650 0.5022 [2 per cell]  2 Mn 1.93-1.97, 3 Li 2.07-2.10
21 O 0.2819 0.7347 0.9969 [2 per cell]  2 Mn 1.93-1.96, 3 Li 2.09-2.11
22 O 0.3293 0.3540 0.0672 [2 per cell]  2 Mn 1.94-1.96, 1 Li 2.10
23 O 0.3367 0.3224 0.6042 [2 per cell]  2 Mn 1.96-1.99, 2 Li 2.09-2.12
24 O 0.4067 0.9302 0.6830 [2 per cell]  2 Mn 1.93-1.99, 3 Li 2.04-2.11
25 O 0.4500 0.8951 0.1487 [2 per cell]  3 Mn 1.99, 2 Li 2.13-2.22
26 O 0.4936 0.4923 0.7682 [2 per cell]  2 Mn 1.95-1.97, 3 Li 2.12-2.16

Summary:
Formation enthalpy at 0 K in eV/f.u.: -51.4
E (MP2020) in eV/atom: -7.079